{"formula": "Ba5Re3IO15", "functional": "GGA-PBE", "state": "optimized geometry", "cell": [[5.615, -9.725, 0.000], [5.615, 9.725, 0.000], [0.000, 0.000, 7.993]], "species": ["Ba", "Ba", "Ba", "Ba", "Ba", "Ba", "Ba", "Ba", "Ba", "Ba", "Re", "Re", "Re", "Re", "Re", "Re", "I", "I", "O", "O", "O", "O", "O", "O", "O", "O", "O", "O", "O", "O", "O", "O", "O", "O", "O", "O", "O", "O", "O", "O", "O", "O", "O", "O", "O", "O", "O", "O"], "fractional_positions": [[0.273, 0.273, 0.769], [0.000, 0.727, 0.769], [0.727, 0.727, 0.269], [0.000, 0.273, 0.269], [0.727, 0.000, 0.769], [0.273, 0.000, 0.269], [0.667, 0.333, 0.529], [0.333, 0.667, 0.029], [0.667, 0.333, 0.029], [0.333, 0.667, 0.529], [0.609, 0.609, 0.825], [0.000, 0.391, 0.825], [0.391, 0.391, 0.325], [0.000, 0.609, 0.325], [0.391, 0.000, 0.825], [0.609, 0.000, 0.325], [0.000, 0.000, 0.004], [0.000, 0.000, 0.504], [0.701, 0.701, 0.647], [0.000, 0.299, 0.647], [0.299, 0.299, 0.147], [0.000, 0.701, 0.147], [0.299, 0.000, 0.647], [0.701, 0.000, 0.147], [0.870, 0.446, 0.786], [0.576, 0.130, 0.786], [0.130, 0.554, 0.286], [0.576, 0.446, 0.286], [0.554, 0.424, 0.786], [0.424, 0.870, 0.286], [0.554, 0.130, 0.286], [0.424, 0.554, 0.786], [0.446, 0.576, 0.286], [0.446, 0.870, 0.786], [0.870, 0.424, 0.286], [0.130, 0.576, 0.786], [0.869, 0.259, 0.965], [0.390, 0.131, 0.965], [0.131, 0.741, 0.465], [0.390, 0.259, 0.465], [0.741, 0.610, 0.965], [0.610, 0.869, 0.465], [0.741, 0.131, 0.465], [0.610, 0.741, 0.965], [0.259, 0.390, 0.465], [0.259, 0.869, 0.965], [0.869, 0.610, 0.465], [0.131, 0.390, 0.965]], "formation_enthalpy_0k_ev_per_atom": -2.72, "energy_corrected_mp2020_ev_per_atom": -7.83, "energy_ev_per_atom": -7.405}

{"formula": "BaTiI6O18", "functional": "GGA-PBE", "state": "optimized geometry", "cell": [[5.043, -5.777, 0.000], [5.043, 5.777, 0.000], [-1.577, 0.000, 7.505]], "species": ["Ba", "Ti", "I", "I", "I", "I", "I", "I", "O", "O", "O", "O", "O", "O", "O", "O", "O", "O", "O", "O", "O", "O", "O", "O", "O", "O"], "fractional_positions": [[0.621, 0.621, 0.621], [0.009, 0.009, 0.009], [0.629, 0.842, 0.200], [0.200, 0.629, 0.842], [0.842, 0.200, 0.629], [0.372, 0.161, 0.793], [0.793, 0.372, 0.161], [0.161, 0.793, 0.372], [0.798, 0.835, 0.044], [0.044, 0.798, 0.835], [0.835, 0.044, 0.798], [0.200, 0.165, 0.948], [0.948, 0.200, 0.165], [0.165, 0.948, 0.200], [0.582, 0.601, 0.189], [0.189, 0.582, 0.601], [0.601, 0.189, 0.582], [0.422, 0.404, 0.814], [0.814, 0.422, 0.404], [0.404, 0.814, 0.422], [0.788, 0.886, 0.411], [0.411, 0.788, 0.886], [0.886, 0.411, 0.788], [0.205, 0.107, 0.594], [0.594, 0.205, 0.107], [0.107, 0.594, 0.205]], "formation_enthalpy_0k_ev_per_atom": -1.35, "energy_corrected_mp2020_ev_per_atom": -5.51, "energy_ev_per_atom": -5.032}

{"formula": "BaU2I2O13", "functional": "GGA-PBE", "state": "optimized geometry", "cell": [[3.959, 5.650, -1.161], [6.677, -4.446, 1.134], [-1.828, -3.200, -21.801]], "species": ["Ba", "Ba", "Ba", "Ba", "U", "U", "U", "U", "U", "U", "U", "U", "I", "I", "I", "I", "I", "I", "I", "I", "O", "O", "O", "O", "O", "O", "O", "O", "O", "O", "O", "O", "O", "O", "O", "O", "O", "O", "O", "O", "O", "O", "O", "O", "O", "O", "O", "O", "O", "O", "O", "O", "O", "O", "O", "O", "O", "O", "O", "O", "O", "O", "O", "O", "O", "O", "O", "O", "O", "O", "O", "O"], "fractional_positions": [[0.625, 0.134, 0.639], [0.125, 0.866, 0.861], [0.375, 0.866, 0.361], [0.875, 0.134, 0.139], [0.826, 0.604, 0.626], [0.326, 0.396, 0.874], [0.174, 0.396, 0.374], [0.674, 0.604, 0.126], [0.805, 0.475, 0.781], [0.305, 0.525, 0.719], [0.195, 0.525, 0.219], [0.695, 0.475, 0.281], [0.827, 0.840, 0.474], [0.327, 0.160, 0.026], [0.173, 0.160, 0.526], [0.673, 0.840, 0.974], [0.327, 0.699, 0.552], [0.827, 0.301, 0.948], [0.673, 0.301, 0.448], [0.173, 0.699, 0.052], [0.922, 0.696, 0.526], [0.422, 0.304, 0.974], [0.078, 0.304, 0.474], [0.578, 0.696, 0.026], [0.575, 0.780, 0.469], [0.075, 0.220, 0.031], [0.425, 0.220, 0.531], [0.925, 0.780, 0.969], [0.819, 0.030, 0.529], [0.319, 0.970, 0.971], [0.181, 0.970, 0.471], [0.681, 0.030, 0.029], [0.191, 0.611, 0.613], [0.691, 0.389, 0.887], [0.809, 0.389, 0.387], [0.309, 0.611, 0.113], [0.548, 0.592, 0.569], [0.048, 0.408, 0.931], [0.452, 0.408, 0.431], [0.952, 0.592, 0.069], [0.356, 0.907, 0.592], [0.856, 0.093, 0.908], [0.644, 0.093, 0.408], [0.144, 0.907, 0.092], [0.854, 0.380, 0.594], [0.354, 0.620, 0.906], [0.146, 0.620, 0.406], [0.646, 0.380, 0.094], [0.786, 0.828, 0.652], [0.286, 0.172, 0.848], [0.214, 0.172, 0.348], [0.714, 0.828, 0.152], [0.618, 0.526, 0.693], [0.118, 0.474, 0.807], [0.382, 0.474, 0.307], [0.882, 0.526, 0.193], [0.820, 0.254, 0.746], [0.320, 0.746, 0.754], [0.180, 0.746, 0.254], [0.680, 0.254, 0.246], [0.792, 0.690, 0.821], [0.292, 0.310, 0.679], [0.208, 0.310, 0.179], [0.708, 0.690, 0.321], [0.487, 0.438, 0.793], [0.987, 0.562, 0.707], [0.513, 0.562, 0.207], [0.013, 0.438, 0.293], [0.514, 0.006, 0.753], [0.014, 0.994, 0.747], [0.486, 0.994, 0.247], [0.986, 0.006, 0.253]], "formation_enthalpy_0k_ev_per_atom": -2.25, "energy_corrected_mp2020_ev_per_atom": -7.35, "energy_ev_per_atom": -6.855}

{"formula": "Ba6Pr3I19", "functional": "GGA-PBE", "state": "optimized geometry", "cell": [[-7.242, -6.755, -2.987], [4.560, -9.212, 1.157], [-8.124, -3.122, 21.284]], "species": ["Ba", "Ba", "Ba", "Ba", "Ba", "Ba", "Ba", "Ba", "Ba", "Ba", "Ba", "Ba", "Pr", "Pr", "Pr", "Pr", "Pr", "Pr", "I", "I", "I", "I", "I", "I", "I", "I", "I", "I", "I", "I", "I", "I", "I", "I", "I", "I", "I", "I", "I", "I", "I", "I", "I", "I", "I", "I", "I", "I", "I", "I", "I", "I", "I", "I", "I", "I"], "fractional_positions": [[0.734, 0.587, 0.039], [0.582, 0.784, 0.284], [0.914, 0.147, 0.606], [0.418, 0.216, 0.716], [0.266, 0.413, 0.961], [0.853, 0.086, 0.894], [0.784, 0.582, 0.784], [0.587, 0.734, 0.539], [0.216, 0.418, 0.216], [0.147, 0.914, 0.106], [0.086, 0.853, 0.394], [0.413, 0.266, 0.461], [0.635, 0.127, 0.125], [0.753, 0.247, 0.250], [0.247, 0.753, 0.750], [0.365, 0.873, 0.875], [0.873, 0.365, 0.375], [0.127, 0.635, 0.625], [0.614, 0.302, 0.996], [0.539, 0.840, 0.134], [0.069, 0.155, 0.285], [0.522, 0.864, 0.744], [0.458, 0.556, 0.841], [0.096, 0.756, 0.884], [0.302, 0.614, 0.496], [0.244, 0.904, 0.616], [0.074, 0.160, 0.465], [0.864, 0.522, 0.244], [0.928, 0.417, 0.914], [0.311, 0.201, 0.099], [0.160, 0.461, 0.366], [0.799, 0.689, 0.401], [0.417, 0.928, 0.414], [0.155, 0.069, 0.785], [0.556, 0.458, 0.341], [0.698, 0.386, 0.504], [0.461, 0.160, 0.866], [0.931, 0.845, 0.715], [0.845, 0.931, 0.215], [0.246, 0.754, 0.250], [0.689, 0.799, 0.901], [0.583, 0.072, 0.586], [0.160, 0.074, 0.965], [0.478, 0.136, 0.256], [0.926, 0.840, 0.535], [0.201, 0.311, 0.599], [0.444, 0.542, 0.659], [0.904, 0.244, 0.116], [0.756, 0.096, 0.384], [0.754, 0.246, 0.750], [0.840, 0.926, 0.035], [0.072, 0.583, 0.086], [0.386, 0.698, 0.004], [0.840, 0.539, 0.634], [0.136, 0.478, 0.756], [0.542, 0.444, 0.159]], "formation_enthalpy_0k_ev_per_atom": -1.91, "energy_corrected_mp2020_ev_per_atom": -3.87, "energy_ev_per_atom": -3.609}